Entry 1:
A relaxed structure of Fe3C, computed with PBE.

Structure (POSCAR):
```
Fe3C
1.0
-4.646 -0.288 0.155
0.296 -2.386 4.438
-0.273 6.190 3.345
C Fe
4 12
Direct
0.500 0.500 0.000
0.500 0.500 0.500
0.000 0.000 0.500
0.000 0.000 0.000
0.653 0.831 0.578
0.653 0.831 0.922
0.347 0.169 0.078
0.840 0.050 0.250
0.847 0.331 0.922
0.660 0.550 0.250
0.340 0.450 0.750
0.160 0.950 0.750
0.347 0.169 0.422
0.847 0.331 0.578
0.153 0.669 0.078
0.153 0.669 0.422
```

Results
calculated total energy: -0.6274 Ry/atom
E_form: 11.9 kJ/mol of atoms
calculated density: 7.21 Mg/m³

---

Entry 2:
A relaxed structure of Fe2C, computed with PBE.

Structure (POSCAR):
```
Fe2C
1.0
-2.359 0.030 1.551
-2.245 -1.348 -3.387
0.776 -4.474 1.266
Fe C
4 2
Direct
0.500 0.750 0.844
0.000 0.250 0.656
0.000 0.750 0.344
0.500 0.250 0.156
0.000 0.000 0.000
0.500 0.500 0.500
```

Results
calculated total energy: -0.6368 Ry/atom
E_form: 5.7 kJ/mol of atoms
calculated density: 7.21 Mg/m³

---

Entry 3:
A relaxed structure of Fe3C, computed with PBE.

Structure (POSCAR):
```
Fe3C
1.0
-1.587 -1.579 -2.069
4.033 -2.962 -0.834
-3.336 -6.704 7.675
Fe C
12 4
Direct
0.250 0.387 0.323
0.750 0.613 0.177
0.747 0.150 0.500
0.750 0.113 0.177
0.250 0.887 0.323
0.750 0.113 0.823
0.250 0.387 0.677
0.250 0.887 0.677
0.253 0.850 0.000
0.753 0.650 0.500
0.750 0.613 0.823
0.247 0.350 0.000
0.250 0.408 0.500
0.750 0.092 0.000
0.250 0.908 0.500
0.750 0.592 0.000
```

Results
calculated total energy: -0.6161 Ry/atom
E_form: 26.7 kJ/mol of atoms
calculated density: 7.19 Mg/m³

---

Entry 4:
A relaxed structure of Fe3C, computed with PBE.

Structure (POSCAR):
```
Fe3C
1.0
4.491 0.000 0.000
0.000 5.030 0.000
0.000 0.000 6.739
C Fe
4 12
Direct
0.939 0.623 0.750
0.439 0.877 0.250
0.061 0.377 0.250
0.561 0.123 0.750
0.668 0.823 0.568
0.163 0.963 0.750
0.832 0.323 0.568
0.332 0.177 0.432
0.663 0.537 0.250
0.332 0.177 0.068
0.668 0.823 0.932
0.168 0.677 0.068
0.837 0.037 0.250
0.337 0.463 0.750
0.168 0.677 0.432
0.832 0.323 0.932
```

Results
calculated total energy: -0.6323 Ry/atom
E_form: 5.4 kJ/mol of atoms
calculated density: 7.83 Mg/m³

---

Entry 5:
A relaxed structure of Fe3C, computed with PBE.

Structure (POSCAR):
```
Fe3C
1.0
1.326 4.048 0.000
-1.326 4.048 0.000
0.000 3.372 14.197
Fe C
12 4
Direct
0.038 0.038 0.121
0.959 0.959 0.293
0.651 0.651 0.965
0.119 0.119 0.533
0.352 0.352 0.624
0.648 0.648 0.376
0.737 0.737 0.785
0.881 0.881 0.467
0.263 0.263 0.215
0.041 0.041 0.707
0.349 0.349 0.035
0.962 0.962 0.879
0.725 0.725 0.120
0.275 0.275 0.880
0.667 0.667 0.625
0.333 0.333 0.375
```

Results
calculated total energy: -0.6247 Ry/atom
E_form: 15.4 kJ/mol of atoms
calculated density: 7.83 Mg/m³

---

Entry 6:
A relaxed structure of Fe3C, computed with PBE.

Structure (POSCAR):
```
Fe3C
1.0
-0.102 2.209 5.908
-3.286 0.259 -5.379
-1.481 -5.959 1.447
Fe C
12 4
Direct
0.398 0.006 0.000
0.500 0.144 0.644
0.006 0.398 0.000
0.641 0.837 0.000
0.359 0.359 0.196
0.144 0.500 0.644
0.837 0.641 0.000
0.500 0.856 0.356
0.856 0.500 0.356
0.602 0.602 0.609
0.994 0.994 0.391
0.163 0.163 0.804
0.000 0.710 0.710
0.290 0.000 0.290
0.710 0.000 0.710
0.000 0.290 0.290
```

Results
calculated total energy: -0.6247 Ry/atom
E_form: 15.4 kJ/mol of atoms
calculated density: 7.99 Mg/m³

---

Entry 7:
A relaxed structure of Ga2Fe6C, computed with PBE.

Structure (POSCAR):
```
Ga2Fe6C
1.0
3.777 0.000 0.000
0.000 3.777 0.000
0.000 0.000 7.123
Fe Ga C
6 2 1
Direct
0.000 0.500 0.000
0.500 0.500 0.270
0.000 0.500 0.500
0.500 0.500 0.730
0.500 0.000 0.000
0.500 0.000 0.500
0.000 0.000 0.253
0.000 0.000 0.747
0.500 0.500 0.000
```

Results
calculated total energy: -0.5464 Ry/atom
E_form: -8.6 kJ/mol of atoms
calculated density: 7.95 Mg/m³

---

Entry 8:
A relaxed structure of Ho2Ga4Fe13C2, computed with PBE.

Structure (POSCAR):
```
Ho2Ga4Fe13C2
1.0
6.508 0.000 0.000
0.870 6.467 0.000
0.884 0.679 6.520
Fe Ho Ga C
13 2 4 2
Direct
0.001 0.713 0.286
0.291 0.007 0.714
0.096 0.094 0.091
0.342 0.342 0.866
0.713 0.994 0.288
0.340 0.859 0.336
0.712 0.285 0.999
0.905 0.908 0.909
0.004 0.998 0.498
0.492 0.005 0.006
0.004 0.501 0.999
0.007 0.289 0.715
0.284 0.715 0.004
0.663 0.661 0.663
0.335 0.338 0.336
0.850 0.330 0.327
0.167 0.664 0.665
0.649 0.660 0.137
0.658 0.150 0.671
0.997 0.501 0.500
0.491 0.989 0.492
```

Results
calculated total energy: -0.5195 Ry/atom
E_form: 6.5 kJ/mol of atoms
calculated density: 8.22 Mg/m³